[1]
The following is a DFT calculation (PBE+U) of a relaxed structure of Li5V3Ni2O10.

## Properties
SG ... P-1 (2)
ΔE to the lowest computed polymorph ... 0.0 kJ per mole of atoms
Crystal system ... triclinic
Formation energy from the elements ... -43.176 eV per formula unit

```
20
Lattice="-3.057 3.809 -1.359 -3.179 -2.726 3.086 5.269 3.594 4.704" Properties=species:S:1:pos:R:3 pbc="T T T"
O -0.166 2.915 1.113
Li 1.983 3.438 3.985
Li -1.300 -0.295 4.610
V -1.590 -1.363 1.543
O 0.080 4.218 4.267
V -0.690 1.355 0.449
O -2.606 1.908 0.139
Ni -2.143 3.743 1.242
Li -0.483 2.339 3.216
O -0.801 1.763 5.319
O 4.103 3.021 4.378
Li 0.334 4.973 1.821
O -2.448 2.988 3.088
O -5.069 1.657 2.053
V -0.277 3.322 5.982
O 1.640 2.769 6.292
Ni 1.176 0.935 5.190
Li -2.950 1.240 2.446
O -1.047 0.459 2.164
O 1.481 1.690 3.343
```

---

[2]
The following is a DFT calculation (PBE+U) of a relaxed structure of Li3Mn2Ni2O8.

## Properties
SG ... P-1 (2)
ΔE to the lowest computed polymorph ... 0.0 kJ per mole of atoms
Crystal system ... triclinic
Formation energy from the elements ... -20.507 eV per formula unit

```
15
Lattice="-5.255 1.317 -1.944 1.361 -5.611 0.987 -0.752 3.633 4.537" Properties=species:S:1:pos:R:3 pbc="T T T"
O -3.343 -1.350 0.104
O -0.734 -2.017 1.055
Mn 0.000 0.000 0.000
Mn -2.628 0.658 -0.972
Li 0.304 -0.989 2.762
O -3.872 1.615 -0.379
Ni -1.947 -2.147 -0.479
Li -3.004 2.475 1.296
O -3.912 1.356 2.525
Ni -2.323 -0.331 1.790
Li 0.680 -2.805 0.493
O -0.775 -2.277 3.958
O -3.235 -1.704 3.019
O -1.303 0.689 3.475
O -1.412 1.043 0.561
```

---

[3]
The following is a DFT calculation (PBE+U) of a relaxed structure of Li7Mn5O12.

## Properties
SG ... P-1 (2)
ΔE to the lowest computed polymorph ... 1.6 kJ per mole of atoms
Crystal system ... triclinic
Formation energy from the elements ... -51.362 eV per formula unit

```
48
Lattice="-1.732 -4.620 1.260 6.572 -4.123 -7.737 5.297 2.427 6.344" Properties=species:S:1:pos:R:3 pbc="T T T"
O 4.518 -2.978 3.208
Li 7.489 -2.929 0.783
O 7.115 -2.363 -1.180
O 2.591 -2.832 -3.008
Li 8.631 -4.290 -1.546
Li 2.648 -3.386 -0.916
O 5.756 -4.320 0.761
O 3.262 -1.753 5.735
Mn 8.334 -7.094 -2.220
Li 6.859 -5.064 -3.729
Li 5.093 -0.479 5.728
Mn 7.144 -2.123 -3.107
Li 8.911 -1.314 -1.005
Li 1.227 -5.002 0.871
O 8.935 -4.863 0.401
O 9.168 -1.732 0.981
O 8.610 -3.720 -3.721
O 10.343 -2.890 -1.636
O 0.968 -4.584 -1.115
Li 5.044 -5.836 -5.861
O 1.203 -1.454 -0.534
O 7.077 -5.707 -1.803
Mn 2.387 -6.216 -1.516
O 4.381 -1.996 -0.894
Li 3.278 -1.251 3.596
Li 4.553 -2.627 1.110
O 5.619 -3.337 -3.341
O 3.993 -5.065 -1.325
Mn 5.297 2.426 6.343
O 3.060 -0.608 1.670
Mn 2.993 -4.191 2.975
Mn 4.770 -3.328 5.140
Li 1.506 -2.026 1.412
O 3.023 -3.952 1.046
O 7.546 -3.483 2.875
O -0.203 -3.425 1.503
Mn 4.203 -5.468 0.563
O 5.339 -6.541 -3.834
O 6.876 -4.562 -5.868
Li 5.584 -3.689 -1.243
O 1.528 -2.595 3.588
Mn 1.804 0.778 2.087
Mn 5.367 -2.987 -5.273
O 4.798 0.225 3.701
Li 6.291 -1.813 3.263
Li 3.846 -4.503 -3.397
Mn 7.751 -0.100 1.383
O 6.144 -1.251 1.192
```

---

[4]
The following is a DFT calculation (PBE+U) of a relaxed structure of Sr5Fe4MoO15.

## Properties
SG ... P1 (1)
ΔE to the lowest computed polymorph ... 0.3 kJ per mole of atoms
Crystal system ... triclinic
Formation energy from the elements ... -59.653 eV per formula unit

```
50
Lattice="3.952 0.000 3.954 -7.921 7.905 7.923 -0.009 -7.915 3.963" Properties=species:S:1:pos:R:3 pbc="T T T"
Fe -1.991 2.036 9.898
O -1.988 -1.994 7.961
O -1.978 2.002 7.905
O -1.984 -4.002 5.936
O -3.978 5.931 9.896
O -1.972 -3.918 9.883
O -3.940 2.005 5.938
O 1.983 0.053 5.919
O 0.021 -5.931 5.947
Sr -0.005 -3.946 7.911
O 1.971 -2.014 7.865
Sr -0.002 -3.841 3.954
Sr -4.011 3.918 7.966
O -1.984 1.973 3.955
O -1.995 -0.015 5.947
O -3.963 1.982 9.906
Fe 1.931 -5.906 9.929
O -6.021 3.938 9.979
O -1.995 1.983 11.871
O 1.978 -1.972 3.990
O -1.985 -1.984 11.828
Fe -2.003 1.924 5.958
O 0.039 -2.017 5.933
Fe -5.906 1.961 9.861
O -0.053 -1.995 9.895
O -4.031 1.899 13.878
Mo 1.968 -5.951 5.940
O -5.924 -0.065 9.886
Sr -3.950 0.120 7.905
Sr -0.016 3.855 7.924
O 1.996 -4.031 5.915
Mo -1.985 -1.985 9.894
O -1.976 -0.042 9.889
O -5.967 1.901 11.943
O -5.935 5.933 7.937
Sr -3.928 4.002 11.837
Fe -2.035 5.956 9.944
Sr -3.978 7.790 11.887
O 1.961 -5.930 7.889
Fe -5.945 5.879 9.900
O -0.009 1.971 5.934
O -1.979 4.033 9.889
Sr 0.029 0.047 7.879
Fe 1.960 -1.922 5.946
Sr -0.057 -0.041 4.008
O -0.033 -1.968 1.977
Sr -3.965 -0.017 11.873
Fe -1.944 -1.983 5.898
O -3.920 -1.985 9.891
O 1.940 0.014 2.016
```

---

[5]
The following is a DFT calculation (PBE+U) of a relaxed structure of LiMnF4.

## Properties
SG ... C2/m (12)
Crystal system ... monoclinic
Formation energy from the elements ... -17.559 eV per formula unit

```
6
Lattice="-1.346 -1.433 4.231 3.958 1.403 2.032 -1.214 2.854 0.751" Properties=species:S:1:pos:R:3 pbc="T T T"
Mn -0.607 1.427 0.375
Li 1.306 -0.015 3.131
F 0.462 0.098 1.239
F -0.408 0.820 3.966
F 0.936 2.726 5.774
F 1.806 2.004 3.048
```

---

[6]
The following is a DFT calculation (PBE+U) of a relaxed structure of Ti3MnSb2P6O24.

## Properties
SG ... R3 (146)
Crystal system ... trigonal
Formation energy from the elements ... -96.952 eV per formula unit

```
36
Lattice="7.744 -4.386 0.000 7.744 4.386 0.000 5.260 0.000 7.179" Properties=species:S:1:pos:R:3 pbc="T T T"
O 8.965 -3.711 1.880
O 13.465 -0.934 0.671
Ti 3.050 0.000 1.055
P 11.186 -1.250 6.878
O 11.723 -2.683 1.399
Sb 10.307 0.000 3.566
O 11.251 3.516 2.763
O 6.370 1.668 2.276
O 9.731 -0.833 7.154
P 8.563 -3.085 3.261
O 12.472 -0.924 3.013
Sb 20.638 0.000 7.140
P 9.575 1.298 0.336
O 11.607 -0.604 5.514
O 7.348 0.855 6.554
O 5.931 -0.893 3.545
Ti 13.475 0.000 4.662
O 11.881 3.730 5.249
P 7.828 1.787 5.386
Ti 7.267 0.000 2.514
O 8.209 0.824 4.180
P 12.227 3.087 3.871
O 14.861 0.829 3.552
O 9.064 0.684 1.711
P 12.934 -1.837 1.826
Mn 17.605 0.000 6.091
O 13.890 0.887 6.360
O 9.568 -3.385 4.337
O 11.352 -2.797 6.777
O 12.130 1.528 4.001
O 11.002 0.853 0.191
O 14.359 -1.716 5.004
O 9.085 2.533 5.733
O 8.597 -1.509 3.060
O 9.449 2.855 0.480
O 6.876 -0.775 0.815
```

---

[7]
The following is a DFT calculation (PBE+U) of a relaxed structure of CaV4O9.

## Properties
SG ... P4/n (85)
Crystal system ... tetragonal
Formation energy from the elements ... -36.965 eV per formula unit

```
28
Lattice="8.425 0.000 0.000 0.000 8.425 0.000 0.000 0.000 5.198" Properties=species:S:1:pos:R:3 pbc="T T T"
O 4.212 4.212 2.599
O 7.524 5.955 2.396
O 0.000 0.000 2.599
V 0.762 6.614 3.258
Ca 0.000 4.212 0.819
O 6.682 3.311 2.396
O 0.901 2.469 2.396
O 6.285 7.835 0.330
V 3.451 6.023 1.940
O 2.072 3.623 4.868
V 2.402 3.451 3.258
O 5.955 0.901 2.803
O 2.469 7.524 2.803
V 6.614 7.663 1.940
O 4.801 2.072 0.330
Ca 4.212 0.000 4.379
O 3.623 6.352 0.330
O 2.140 0.589 0.330
V 7.663 1.810 3.258
O 6.352 4.801 4.868
O 1.743 5.113 2.396
V 6.023 4.974 3.258
V 4.974 2.402 1.940
O 5.113 6.682 2.803
V 1.810 0.762 1.940
O 3.311 1.743 2.803
O 0.589 6.285 4.868
O 7.835 2.140 4.868
```

---

[8]
The following is a DFT calculation (PBE+U) of a relaxed structure of Lu2W3O12.

## Properties
SG ... Pbcn (60)
ΔE to the lowest computed polymorph ... 0.0 kJ per mole of atoms
Crystal system ... orthorhombic
Formation energy from the elements ... -47.384 eV per formula unit

```
68
Lattice="9.969 0.000 0.000 0.000 10.089 0.000 0.000 0.000 13.803" Properties=species:S:1:pos:R:3 pbc="T T T"
O 8.537 2.183 11.399
O 9.184 9.148 11.781
O 1.676 9.327 13.452
O 3.309 4.283 7.252
W 5.318 7.567 0.000
O 1.364 8.775 7.773
O 9.237 8.422 5.713
W 4.652 2.522 0.000
Lu 7.465 4.650 1.680
W 5.999 6.191 4.908
O 6.660 5.806 6.551
O 5.770 0.941 4.880
O 3.244 0.025 3.688
O 3.309 0.762 6.551
W 5.999 8.942 8.894
O 6.349 6.359 0.872
O 6.725 10.064 10.115
W 8.955 1.147 1.993
Lu 2.504 5.439 12.123
O 8.294 4.283 13.452
Lu 2.504 9.695 1.680
O 1.433 7.228 11.399
O 3.621 1.314 0.872
Lu 7.489 9.695 5.222
O 5.770 4.104 8.923
O 0.785 4.104 11.781
O 3.621 3.730 12.931
O 9.237 6.712 8.090
O 4.252 8.422 1.189
W 8.955 3.898 11.809
O 0.732 3.377 5.713
O 1.364 6.359 6.030
W 3.970 3.898 8.894
O 9.184 5.985 2.022
O 6.417 7.906 4.498
O 1.433 7.906 2.404
W 9.636 2.522 6.901
O 8.537 2.861 2.404
O 5.717 1.667 12.614
Lu 7.465 0.394 12.123
O 8.605 1.314 6.030
O 3.244 5.020 10.115
Lu 7.489 5.439 8.581
O 1.676 5.806 0.351
W 1.015 8.942 11.809
Lu 2.480 0.394 8.581
O 1.741 5.069 3.213
O 6.660 9.327 7.252
O 4.199 9.148 8.923
O 4.252 6.712 12.614
O 8.229 5.020 10.589
W 0.333 7.567 6.901
O 3.552 2.861 4.498
O 8.294 0.762 0.351
O 6.417 7.228 9.305
O 0.732 1.667 8.090
O 8.229 0.025 3.213
W 1.015 6.191 1.993
O 0.785 0.941 2.022
O 1.741 10.064 10.589
Lu 2.480 4.650 5.222
O 4.199 5.985 4.880
O 3.552 2.183 9.305
O 6.349 8.775 12.931
W 3.970 1.147 4.908
O 6.725 5.069 3.688
O 8.605 3.730 7.773
O 5.717 3.377 1.189
```

---

[9]
The following is a DFT calculation (PBE+U) of a relaxed structure of YCr3O9.

## Properties
SG ... P1 (1)
ΔE to the lowest computed polymorph ... 0.0 kJ per mole of atoms
Crystal system ... triclinic
Formation energy from the elements ... -28.156 eV per formula unit

```
52
Lattice="-4.366 -1.705 -3.017 5.017 -2.531 -5.764 0.770 -14.400 7.062" Properties=species:S:1:pos:R:3 pbc="T T T"
O -0.873 -10.898 1.597
O 0.829 -8.385 3.553
Cr 1.265 -12.447 0.257
Cr 2.938 -4.350 -1.823
O -0.795 -6.706 2.129
O 1.771 -12.305 1.909
Cr 5.150 -9.419 -2.239
O 1.758 -2.762 -5.368
Y -2.450 -12.165 0.378
Cr 3.055 -8.187 -4.893
O 2.354 -13.391 -0.434
Cr -1.798 -9.414 -2.209
O -1.809 -1.990 -1.551
O 3.676 -5.425 -2.744
O 3.974 -9.483 -1.071
O 4.671 -16.296 0.103
O 2.201 -17.011 -1.261
Cr 0.570 -6.888 -2.019
Cr 5.618 -14.522 0.102
O 1.789 -9.849 -4.712
Cr -1.166 -14.884 4.851
Y 4.459 -16.097 2.520
O -2.567 -8.354 -1.289
O 2.914 -2.900 -2.611
O -0.277 -13.178 0.033
Cr -1.584 -10.806 3.094
O 2.199 -15.043 3.139
O 4.637 -3.796 -4.665
O -0.708 -4.011 0.710
O -0.943 -6.158 -0.813
O -0.301 -11.194 4.154
O 1.265 -10.966 -0.458
Y 1.960 -9.650 -2.282
O 1.347 -5.014 -1.603
Cr -1.191 -14.967 0.033
O -1.686 -10.858 -1.428
O 2.063 -7.655 -3.203
Cr 1.316 -16.296 2.426
Cr -4.050 -4.455 -1.778
O -2.286 -14.056 1.506
O -0.424 -14.856 3.434
O -0.221 -8.736 -2.439
O 0.242 -15.982 1.138
O 1.640 -7.910 -0.626
O 2.883 -11.787 -2.562
O 1.875 -7.117 -6.126
Y -0.860 -4.163 -1.721
O 4.188 -14.149 1.533
O 2.138 -14.403 -2.854
O -0.072 -2.916 -3.505
O -0.500 -5.880 -3.402
O -2.851 -4.441 -2.927
```

---

[10]
The following is a DFT calculation (PBE+U) of a relaxed structure of Li2NiP4O12.

## Properties
SG ... Cc (9)
ΔE to the lowest computed polymorph ... 5.9 kJ per mole of atoms
Crystal system ... monoclinic
Formation energy from the elements ... -47.096 eV per formula unit

```
38
Lattice="0.105 -0.188 -8.159 0.266 -7.989 1.649 -7.311 -1.648 -1.191" Properties=species:S:1:pos:R:3 pbc="T T T"
O -4.750 -2.464 -3.076
O -0.744 -7.199 -6.359
O -5.089 -2.146 -5.538
O -2.075 -6.943 -2.028
P -6.630 -5.555 -7.357
O -5.800 -4.396 -6.862
P -0.342 -4.215 -0.775
O -3.335 -3.219 -8.171
O -5.249 -8.250 -0.459
O -5.964 -6.902 -6.804
Li -4.016 -5.582 -1.609
Ni -5.368 -2.538 -7.501
P -6.054 -1.750 -2.441
O -4.386 -8.652 -6.164
P -0.961 -8.075 -5.170
O -2.643 -1.009 -1.488
O -1.714 -1.565 -7.233
Ni -1.601 -7.140 -0.082
Li -0.415 -2.064 -4.400
O -1.355 -5.136 -0.148
O -0.159 -0.277 -5.756
O -3.296 -3.809 -4.592
O -2.940 -1.309 -4.446
P -2.913 -7.700 -3.029
O -6.877 -9.562 -1.827
P -4.641 -7.694 -7.280
P -4.049 -2.533 -4.521
O -4.344 -7.278 -3.061
O -3.704 -6.496 0.432
O -2.280 -7.454 -4.479
O -1.070 -2.803 -1.017
O -6.526 -5.497 -0.811
P -2.375 -2.044 -0.439
Li -6.085 -7.986 -3.644
Li -2.482 -4.622 -6.242
O -0.741 -3.867 -5.719
O -6.284 -2.543 -1.191
O -6.919 -6.208 -3.207
```